A plane-wave DFT calculation with GGA+U was carried out for an optimized crystal structure of Li8Cr3TeO12.

Results
E_form: -2149 meV per atom

Cell: 5.049 8.609 5.065 Å, 90.00 90.37 90.00°
Space group P2 (No. 3)
One atom of each set of equivalent atoms:
Li  0.000  0.000  0.000 [1 per cell]
Li  0.000  0.133  0.500 [1 per cell]
Li  0.000  0.283  0.000 [1 per cell]
Li  0.000  0.842  0.500 [1 per cell]
Li  0.500  0.305  0.000 [1 per cell]
Li  0.500  0.471  0.500 [1 per cell]
Li  0.500  0.624  0.000 [1 per cell]
Li  0.500  0.806  0.500 [1 per cell]
Cr  0.000  0.455  0.500 [1 per cell]
Cr  0.500  0.145  0.500 [1 per cell]
Cr  0.500  0.977  0.000 [1 per cell]
Te  0.000  0.649  0.000 [1 per cell]
O  0.218  0.484  0.168 [2 per cell]
O  0.220  0.634  0.683 [2 per cell]
O  0.237  0.803  0.152 [2 per cell]
O  0.261  0.305  0.646 [2 per cell]
O  0.275  0.135  0.173 [2 per cell]
O  0.286  0.985  0.665 [2 per cell]